Below is LiNbCrO4 after structural relaxation, with properties calculated at the PBE+U level.

Summary:
The formation energy is -2.58 eV/atom. Its polymorph energy (0 for the lowest one) is 0 kJ/mol of formula units. Its symmetry is No. 95.

Lattice parameters (Å, degrees): 6.3082 6.3082 8.4647 90.00 90.00 90.00
With the nearest neighbours (Å) after each atom.
Element x y z (fractional)
Li 0.7683 0.0000 0.7500  6 O 2.15-2.35
Li 0.0000 0.2317 0.0000  6 O 2.15-2.35
Li 0.2317 0.0000 0.2500  6 O 2.15-2.35
Li 0.0000 0.7683 0.5000  6 O 2.15-2.35
O 0.4963 0.7458 0.7431  1 Nb 1.92, 1 Cr 2.06
O 0.5037 0.2542 0.2431  1 Nb 1.92, 1 Cr 2.06
O 0.7458 0.5037 0.9931  1 Nb 1.92, 1 Cr 2.06
O 0.5037 0.7458 0.2569  1 Nb 1.92, 1 Cr 2.06
O 0.7482 0.9973 0.0035  1 Nb 1.87
O 0.0027 0.7482 0.7535  1 Nb 1.87
O 0.7482 0.0027 0.4965  1 Nb 1.87
O 0.9973 0.7482 0.2465  1 Nb 1.87
O 0.7458 0.4963 0.5069  1 Nb 1.92, 1 Cr 2.06
O 0.2518 0.0027 0.5035  1 Nb 1.87
O 0.0027 0.2518 0.7465  1 Nb 1.87
O 0.2542 0.4963 0.4931  1 Nb 1.92, 1 Cr 2.06
O 0.2542 0.5037 0.0069  1 Nb 1.92, 1 Cr 2.06
O 0.4963 0.2542 0.7569  1 Nb 1.92, 1 Cr 2.06
O 0.9973 0.2518 0.2535  1 Nb 1.87
O 0.2518 0.9973 0.9965  1 Nb 1.87
Cr 0.5000 0.7576 0.5000  6 O 2.06-2.26
Cr 0.5000 0.2424 0.0000  6 O 2.06-2.26
Cr 0.7576 0.5000 0.7500  6 O 2.06-2.26
Cr 0.2424 0.5000 0.2500  6 O 2.06-2.26
Nb 0.2495 0.7505 0.8750  4 O 1.87-1.92
Nb 0.2495 0.2495 0.6250  4 O 1.87-1.92
Nb 0.7505 0.2495 0.3750  4 O 1.87-1.92
Nb 0.7505 0.7505 0.1250  4 O 1.87-1.92

=====

Below is Sr2TaMnO6 after structural relaxation, with properties calculated at the PBE+U level.

Summary:
The formation energy is -3.10 eV/atom. Its symmetry is No. 119.

Lattice parameters (Å, degrees): 7.8742 7.8741 10.0637 66.97 66.97 90.00
With the nearest neighbours (Å) after each atom.
Element x y z (fractional)
Ta 0.2497 0.7496 0.5007  6 O 1.98-1.99
Ta 0.7504 0.2503 0.4993  6 O 1.98-1.99
Ta 0.4999 0.4999 0.0003  6 O 1.98-1.99
Ta 0.0001 0.0001 0.9998  6 O 1.98-1.99
O 0.0036 0.2504 0.4991  1 Mn 1.94, 1 Ta 1.99
O 0.7529 0.4999 0.0003  1 Mn 1.94, 1 Ta 1.99
O 0.8818 0.8818 0.2364  1 Ta 1.98, 1 Mn 2.21
O 0.6182 0.6182 0.7636  1 Ta 1.98, 1 Mn 2.21
O 0.3679 0.8680 0.2640  1 Ta 1.98, 1 Mn 2.21
O 0.8686 0.3687 0.2627  1 Ta 1.98, 1 Mn 2.20
O 0.0002 0.7471 0.9997  1 Mn 1.94, 1 Ta 1.99
O 0.1184 0.1184 0.7631  1 Ta 1.98, 1 Mn 2.20
O 0.4999 0.7532 0.0002  1 Mn 1.94, 1 Ta 1.99
O 0.1313 0.6314 0.7373  1 Ta 1.98, 1 Mn 2.20
O 0.6320 0.1321 0.7360  1 Ta 1.98, 1 Mn 2.21
O 0.2533 0.0002 0.9997  1 Mn 1.94, 1 Ta 1.99
O 0.7504 0.5036 0.4992  1 Mn 1.94, 1 Ta 1.99
O 0.5028 0.7496 0.5008  1 Mn 1.94, 1 Ta 1.99
O 0.7469 0.0002 0.9997  1 Mn 1.94, 1 Ta 1.99
O 0.4999 0.2467 0.0002  1 Mn 1.94, 1 Ta 1.99
O 0.4973 0.2504 0.4991  1 Mn 1.94, 1 Ta 1.99
O 0.2496 0.4963 0.5009  1 Mn 1.94, 1 Ta 1.99
O 0.9964 0.7496 0.5008  1 Mn 1.94, 1 Ta 1.99
O 0.7504 0.9972 0.4992  1 Mn 1.94, 1 Ta 1.99
O 0.2496 0.0026 0.5009  1 Mn 1.94, 1 Ta 1.99
O 0.3815 0.3816 0.2369  1 Ta 1.98, 1 Mn 2.21
O 0.2467 0.4999 0.0003  1 Mn 1.94, 1 Ta 1.99
O 0.0002 0.2533 0.9997  1 Mn 1.94, 1 Ta 1.99
Sr 0.3751 0.3750 0.7500  12 O 2.79-2.88
Sr 0.3751 0.8750 0.7500  12 O 2.79-2.88
Sr 0.1250 0.1250 0.2500  12 O 2.79-2.88
Sr 0.6250 0.1249 0.2500  12 O 2.79-2.88
Sr 0.8749 0.8750 0.7500  12 O 2.79-2.88
Sr 0.1250 0.6251 0.2500  12 O 2.79-2.88
Sr 0.6250 0.6251 0.2500  12 O 2.79-2.88
Sr 0.8749 0.3750 0.7500  12 O 2.79-2.88
Mn 0.7500 0.7500 0.5000  4 O 1.94
Mn 0.0001 0.5000 0.9999  4 O 1.94
Mn 0.5000 0.0000 0.9999  4 O 1.94
Mn 0.2500 0.2498 0.5002  4 O 1.94

=====

Below is Li4V3P8O29 after structural relaxation, with properties calculated at the PBE+U level.

Summary:
The formation energy is -2.57 eV/atom. Its polymorph energy (0 for the lowest one) is 38 kJ/mol of formula units. Its symmetry is No. 1.

Lattice parameters (Å, degrees): 9.7792 9.7940 14.2385 89.95 90.72 119.86
With the nearest neighbours (Å) after each atom.
Element x y z (fractional)
O 0.4817 0.6625 0.8238  1 P 1.58
O 0.9251 0.3828 0.3319  1 P 1.56
O 0.2364 0.9944 0.0751  1 P 1.51
O 0.9965 0.7930 0.7483  2 P 1.61
O 0.3326 0.6524 0.9707  1 P 1.49
O 0.8109 0.3296 0.6752  1 P 1.60
O 0.5175 0.3362 0.1734  1 P 1.57
O 0.1884 0.6694 0.3252  1 P 1.58
O 0.0041 0.7951 0.5694  1 P 1.47
O 0.9150 0.6565 0.3354  1 P 1.55
O 0.5203 0.6189 0.1790  1 P 1.55
O 0.0066 0.7698 0.9252  1 P 1.48
O 0.3311 0.8141 0.8315  1 P 1.57
O 0.7987 0.7850 0.2374  2 P 1.61
O 0.3362 0.0839 0.8437  1 P 1.55
O 0.3307 0.5176 0.3233  1 P 1.61
O 0.0932 0.4761 0.1786  1 P 1.54
O 0.4697 0.0894 0.3310  1 P 1.52
O 0.9111 0.5276 0.8194  1 P 1.56
O 0.0002 0.1981 0.4237  1 P 1.48
O 0.0804 0.6186 0.6691  1 P 1.58
O 0.6681 0.3377 0.0289  1 P 1.49
O 0.6679 0.3427 0.5259  1 P 1.48
O 0.0822 0.7395 0.1683  1 P 1.54
O 0.2544 0.3394 0.1611  1 P 1.55
O 0.4798 0.3816 0.8232  1 P 1.54
O 0.8152 0.4741 0.1837  1 P 1.59
O 0.9198 0.2599 0.8372  1 P 1.55
O 0.3821 0.4625 0.6720  1 P 1.56
O 0.7935 0.8018 0.4149  1 P 1.49
O 0.9934 0.2029 0.2439  2 P 1.60-1.63
O 0.6630 0.9168 0.1605  1 P 1.55
O 0.7957 0.0055 0.7482  2 P 1.61-1.63
O 0.7677 0.9755 0.5687  1 P 1.49
O 0.4890 0.8131 0.3352  1 P 1.56
O 0.2023 0.2144 0.7613  2 P 1.61-1.62
O 0.6207 0.1010 0.8195  1 P 1.55
O 0.5096 0.1859 0.6664  1 P 1.55
O 0.1827 0.5159 0.8213  1 P 1.58
O 0.0860 0.3448 0.6656  1 P 1.55
O 0.2042 0.9978 0.2520  2 P 1.61-1.62
O 0.3464 0.2622 0.3269  1 P 1.57
O 0.7423 0.7543 0.0617  1 P 1.48
O 0.3791 0.9004 0.1812  1 P 1.55
O 0.6560 0.7401 0.6731  1 P 1.57
O 0.2083 0.2017 0.5838  1 P 1.49
O 0.7620 0.0047 0.9264  1 P 1.50
O 0.7453 0.6592 0.8380  1 P 1.56
O 0.6194 0.5389 0.3284  1 P 1.57
O 0.6680 0.1819 0.1690  1 P 1.58
O 0.2552 0.9150 0.6659  1 P 1.56
O 0.7438 0.0862 0.3357  1 P 1.57
O 0.5286 0.9099 0.6711  1 P 1.53
O 0.2509 0.2494 0.9362  1 P 1.51
O 0.6687 0.4815 0.6779  1 P 1.60
O 0.0018 0.2431 0.0679  1 P 1.51
O 0.2291 0.0266 0.4310  1 P 1.49
O 0.3314 0.6558 0.4752  1 P 1.48
P 0.3214 0.2339 0.8462  4 O 1.51-1.61
P 0.6789 0.7671 0.1533  4 O 1.48-1.61
P 0.7734 0.0931 0.8376  4 O 1.50-1.61
P 0.6615 0.3306 0.6295  4 O 1.48-1.60
P 0.3155 0.0908 0.3417  4 O 1.49-1.62
P 0.6841 0.9109 0.6583  4 O 1.49-1.63
P 0.7807 0.6967 0.3357  4 O 1.49-1.61
P 0.9162 0.6864 0.8396  4 O 1.48-1.61
P 0.6655 0.3334 0.1335  4 O 1.49-1.59
P 0.2254 0.9066 0.1641  4 O 1.51-1.61
P 0.3332 0.6624 0.8662  4 O 1.49-1.58
P 0.3353 0.6688 0.3714  4 O 1.48-1.61
P 0.9197 0.2218 0.3421  4 O 1.48-1.63
P 0.2213 0.3056 0.6634  4 O 1.49-1.62
P 0.0863 0.3181 0.1590  4 O 1.51-1.60
P 0.0804 0.7790 0.6551  4 O 1.47-1.61
Li 0.6911 0.7735 0.9375  3 O 1.87-2.04
Li 0.7732 0.0900 0.0608  3 O 1.98-2.07
Li 0.6713 0.9048 0.4408  4 O 1.95-2.16
Li 0.0940 0.3236 0.9419  3 O 2.00-2.10
Li 0.2229 0.9078 0.9467  2 O 1.88-1.99
Li 0.3204 0.2272 0.0656  3 O 2.01-2.05
Li 0.0019 0.0061 0.4927  5 O 2.13-2.35
Li 0.3264 0.0945 0.5566  2 O 1.95-1.97
V 0.9997 0.5651 0.2552  6 O 1.86-1.94
V 0.9985 0.4386 0.7412  6 O 1.84-2.05
V 0.4340 0.4411 0.2558  6 O 1.81-2.02
V 0.4312 0.9980 0.7514  6 O 1.87-2.03
V 0.5678 0.5626 0.7453  6 O 1.82-1.99
V 0.5676 0.0006 0.2506  6 O 1.87-2.01

=====

Below is SrYCoO4 after structural relaxation, with properties calculated at the PBE+U level.

Summary:
The formation energy is -2.73 eV/atom. Its polymorph energy (0 for the lowest one) is 4 kJ/mol of formula units. Its symmetry is No. 1.

Lattice parameters (Å, degrees): 5.3144 6.7886 10.9052 89.95 89.92 66.89
With the nearest neighbours (Å) after each atom.
Element x y z (fractional)
O 0.7428 0.0155 0.1219  2 Co 1.85-1.94
O 0.7647 0.9356 0.8731  2 Co 1.88-2.01
O 0.1942 0.6729 0.0304  1 Co 2.08, 1 Y 2.30
O 0.7747 0.9537 0.3734  2 Co 1.90-1.93
O 0.7107 0.6637 0.2120  1 Co 2.14, 2 Y 2.23-2.38, 1 Sr 2.38
O 0.8182 0.3703 0.4839  1 Y 2.20, 1 Co 2.35
O 0.2533 0.0082 0.1306  2 Co 1.85-1.99
O 0.6282 0.6729 0.7200  1 Co 2.10, 1 Y 2.29
O 0.7568 0.0096 0.6243  2 Co 1.89-1.96
O 0.8148 0.3617 0.9834  1 Y 2.24, 1 Co 2.26
O 0.2487 0.9682 0.8766  2 Co 1.87-1.98
O 0.2478 0.0137 0.6234  2 Co 1.90-1.91
O 0.1444 0.6639 0.5362  1 Co 2.12, 1 Y 2.23
O 0.2898 0.9252 0.3763  2 Co 1.92-1.95
O 0.3191 0.3586 0.7654  1 Co 2.22, 1 Y 2.26
O 0.3206 0.3687 0.2667  1 Y 2.20, 1 Co 2.33
Y 0.6577 0.7186 0.5127  4 O 2.20-2.45
Y 0.1541 0.7177 0.7372  4 O 2.23-2.48
Y 0.1250 0.7166 0.2386  5 O 2.20-2.45
Y 0.6203 0.7161 0.0119  4 O 2.23-2.45
Co 0.5026 0.9968 0.2516  4 O 1.85-1.95
Co 0.9940 0.0010 0.0009  4 O 1.85-2.01
Co 0.0068 0.9955 0.4984  4 O 1.89-1.93
Co 0.4961 0.0040 0.7505  5 O 1.88-2.10
Sr 0.3608 0.2914 0.4958  4 O 2.37-2.63
Sr 0.8560 0.2918 0.2549  4 O 2.38-2.62
Sr 0.8517 0.2941 0.7504  4 O 2.40-2.61
Sr 0.3461 0.2941 0.9992  5 O 2.40-2.68

=====

Copy entry 1 word for word.
Below is LiNbCrO4 after structural relaxation, with properties calculated at the PBE+U level.

Summary:
The formation energy is -2.58 eV/atom. Its polymorph energy (0 for the lowest one) is 0 kJ/mol of formula units. Its symmetry is No. 95.

Lattice parameters (Å, degrees): 6.3082 6.3082 8.4647 90.00 90.00 90.00
With the nearest neighbours (Å) after each atom.
Element x y z (fractional)
Li 0.7683 0.0000 0.7500  6 O 2.15-2.35
Li 0.0000 0.2317 0.0000  6 O 2.15-2.35
Li 0.2317 0.0000 0.2500  6 O 2.15-2.35
Li 0.0000 0.7683 0.5000  6 O 2.15-2.35
O 0.4963 0.7458 0.7431  1 Nb 1.92, 1 Cr 2.06
O 0.5037 0.2542 0.2431  1 Nb 1.92, 1 Cr 2.06
O 0.7458 0.5037 0.9931  1 Nb 1.92, 1 Cr 2.06
O 0.5037 0.7458 0.2569  1 Nb 1.92, 1 Cr 2.06
O 0.7482 0.9973 0.0035  1 Nb 1.87
O 0.0027 0.7482 0.7535  1 Nb 1.87
O 0.7482 0.0027 0.4965  1 Nb 1.87
O 0.9973 0.7482 0.2465  1 Nb 1.87
O 0.7458 0.4963 0.5069  1 Nb 1.92, 1 Cr 2.06
O 0.2518 0.0027 0.5035  1 Nb 1.87
O 0.0027 0.2518 0.7465  1 Nb 1.87
O 0.2542 0.4963 0.4931  1 Nb 1.92, 1 Cr 2.06
O 0.2542 0.5037 0.0069  1 Nb 1.92, 1 Cr 2.06
O 0.4963 0.2542 0.7569  1 Nb 1.92, 1 Cr 2.06
O 0.9973 0.2518 0.2535  1 Nb 1.87
O 0.2518 0.9973 0.9965  1 Nb 1.87
Cr 0.5000 0.7576 0.5000  6 O 2.06-2.26
Cr 0.5000 0.2424 0.0000  6 O 2.06-2.26
Cr 0.7576 0.5000 0.7500  6 O 2.06-2.26
Cr 0.2424 0.5000 0.2500  6 O 2.06-2.26
Nb 0.2495 0.7505 0.8750  4 O 1.87-1.92
Nb 0.2495 0.2495 0.6250  4 O 1.87-1.92
Nb 0.7505 0.2495 0.3750  4 O 1.87-1.92
Nb 0.7505 0.7505 0.1250  4 O 1.87-1.92